1.
Below is a relaxed structure of WC, with properties calculated at the PBE level.

The structure in POSCAR format:
```
WC
1.0
-0.122 2.573 -1.394
-0.303 -2.495 -1.503
-2.821 0.092 0.417
W C
1 1
Cartesian
0.000 0.000 0.000
-1.593 0.929 -1.222
```

E = -11.2151 eV per atom
Calculated density = 15.35 Mg/m³
Space group = No. 187
DFT formation energy = -0.122 eV per atom
Excess energy over the best structure of this formula in the dataset = 0.00 eV/f.u.

2.
Below is a relaxed structure of WC, with properties calculated at the PBE level.

The structure in POSCAR format:
```
WC
1.0
0.000 2.355 2.355
2.355 0.000 2.355
2.355 2.355 0.000
W C
1 1
Cartesian
0.000 0.000 0.000
1.177 1.177 1.177
```

E = -10.5422 eV per atom
Calculated density = 12.45 Mg/m³
Space group = No. 216
DFT formation energy = 0.551 eV per atom
Excess energy over the best structure of this formula in the dataset = 1.35 eV/f.u.

3.
Below is a relaxed structure of W9C4, with properties calculated at the PBE level.

The structure in POSCAR format:
```
W9C4
1.0
5.446 -4.519 0.000
5.446 4.519 0.000
1.697 0.000 6.871
W C
18 8
Cartesian
6.490 3.019 5.519
2.347 -0.004 3.187
3.548 1.451 0.987
7.773 -1.503 3.263
8.989 -0.006 0.939
6.104 -3.012 1.342
6.485 -3.012 5.529
3.552 -1.447 0.981
9.038 -1.447 5.890
6.532 0.008 5.537
10.242 -0.004 3.683
9.041 1.451 5.883
7.779 1.496 3.252
4.816 -1.503 3.607
6.057 0.008 1.333
4.810 1.496 3.619
6.099 3.019 1.352
3.600 -0.006 5.931
5.041 1.511 5.732
6.295 -3.022 3.435
4.200 3.017 2.283
7.548 1.511 1.138
0.000 0.000 0.000
5.446 -1.516 0.000
6.295 0.000 3.435
2.943 -1.502 4.588
```

E = -11.8136 eV per atom
Calculated density = 16.72 Mg/m³
Space group = No. 155
DFT formation energy = -0.003 eV per atom

4.
Below is a relaxed structure of WC, with properties calculated at the PBE level.

The structure in POSCAR format:
```
WC
1.0
2.733 0.000 0.000
0.000 2.733 0.000
0.000 0.000 2.733
W C
1 1
Cartesian
0.000 0.000 0.000
1.367 1.367 1.367
```

E = -10.3161 eV per atom
Calculated density = 15.92 Mg/m³
Space group = No. 221
DFT formation energy = 0.777 eV per atom
Excess energy over the best structure of this formula in the dataset = 1.80 eV/f.u.

5.
Below is a relaxed structure of Zr4WC5, with properties calculated at the PBE level.

The structure in POSCAR format:
```
Zr4WC5
1.0
-2.081 11.075 -7.447
-2.341 8.891 -9.895
-4.973 9.629 -8.062
Zr W C
4 1 5
Cartesian
-0.960 3.025 -2.597
-6.583 20.738 -17.801
-2.812 8.858 -7.603
-8.435 26.571 -22.808
-4.697 14.798 -12.702
-5.619 17.700 -15.194
-3.776 11.896 -10.211
0.000 0.000 0.000
-1.838 5.789 -4.969
-7.557 23.807 -20.436
```

E = -9.9370 eV per atom
Calculated density = 8.06 Mg/m³
Space group = No. 166
DFT formation energy = -0.608 eV per atom

6.
Below is a relaxed structure of YC, with properties calculated at the PBE level.

The structure in POSCAR format:
```
YC
1.0
-0.848 1.076 3.613
-3.063 -1.521 1.800
0.510 -2.476 2.923
Y C
1 1
Cartesian
0.000 0.000 0.000
-0.850 -0.730 2.084
```

E = -7.3532 eV per atom
Calculated density = 4.11 Mg/m³
Space group = No. 216
DFT formation energy = 0.494 eV per atom
Excess energy over the best structure of this formula in the dataset = 0.90 eV/f.u.

7.
Below is a relaxed structure of YC, with properties calculated at the PBE level.

The structure in POSCAR format:
```
YC
1.0
0.000 2.547 2.547
2.547 0.000 2.547
2.547 2.547 0.000
Y C
1 1
Cartesian
0.000 0.000 0.000
2.547 2.547 2.547
```

E = -7.8032 eV per atom
Calculated density = 5.07 Mg/m³
Space group = No. 225
DFT formation energy = 0.044 eV per atom
Excess energy over the best structure of this formula in the dataset = 0.00 eV/f.u.

8.
Below is a relaxed structure of YC, with properties calculated at the PBE level.

The structure in POSCAR format:
```
YC
1.0
-2.932 0.260 1.006
1.000 -0.112 2.943
0.283 3.098 0.022
Y C
1 1
Cartesian
0.000 0.000 0.000
-0.825 1.623 1.985
```

E = -7.2748 eV per atom
Calculated density = 5.57 Mg/m³
Space group = No. 221
DFT formation energy = 0.573 eV per atom
Excess energy over the best structure of this formula in the dataset = 1.06 eV/f.u.

9.
Below is a relaxed structure of YC2, with properties calculated at the PBE level.

The structure in POSCAR format:
```
YC2
1.0
2.760 -2.414 0.365
-3.110 -1.099 -2.357
0.550 0.078 -3.643
Y C
1 2
Cartesian
0.000 0.000 0.000
-1.034 -1.775 -3.922
1.234 -1.660 -1.713
```

E = -8.4958 eV per atom
Calculated density = 4.45 Mg/m³
Space group = No. 139
DFT formation energy = -0.188 eV per atom

10.
Below is a relaxed structure of Y3C4, with properties calculated at the PBE level.

The structure in POSCAR format:
```
Y3C4
1.0
-1.550 6.578 -4.536
0.969 -4.432 -6.758
-15.643 -3.603 0.120
Y C
30 40
Cartesian
-8.112 -0.728 -5.587
0.000 0.000 0.000
-3.224 0.398 -5.625
-10.755 -2.477 0.082
-13.000 -1.854 -5.550
-4.888 -1.126 0.037
-8.033 -1.193 -9.236
-8.191 -0.263 -1.938
-0.845 3.458 -6.354
0.264 -1.311 -4.940
-8.934 2.827 -6.058
-7.290 -4.283 -5.117
-0.431 1.766 -3.199
-0.150 0.381 -8.095
-6.169 1.251 -7.592
-5.470 -1.651 -3.617
-14.356 1.162 -3.806
-12.926 -5.164 -7.284
-6.254 1.739 -4.112
-5.384 -2.139 -7.097
-13.227 -3.691 -2.302
-14.055 -0.312 -8.787
-10.056 -2.707 -3.582
-10.754 0.195 -7.557
-1.868 -2.617 -7.369
-3.298 3.708 -3.890
-9.970 -3.195 -7.062
-10.840 0.683 -4.077
-2.997 2.235 -8.872
-2.169 -1.144 -2.387
-15.298 -2.383 -5.532
-7.186 -1.655 0.055
-0.926 0.927 -5.642
-8.457 -1.948 0.065
-5.663 -0.164 -5.606
-13.194 -3.039 0.101
-10.562 -1.292 -5.568
-2.449 -0.564 0.019
-8.572 1.321 -4.019
-7.652 -2.776 -7.155
-0.710 2.790 -8.757
0.129 -0.643 -2.537
-7.745 -2.253 -3.488
-8.479 0.797 -7.686
-0.976 4.107 -3.880
0.395 -1.960 -7.414
-5.318 -0.620 -9.189
-5.500 0.409 -2.026
-13.804 0.558 -6.276
-12.657 -4.371 -4.819
-6.216 3.384 -6.129
-4.601 -3.595 -5.086
-13.376 -1.193 -3.018
-13.085 -2.621 -8.078
-10.906 -0.836 -1.985
-10.724 -1.865 -9.148
-2.421 -2.013 -4.898
-3.567 2.915 -6.355
-10.008 -4.840 -5.045
-11.623 2.139 -6.088
-2.849 -0.263 -8.156
-3.139 1.165 -3.096
-4.093 -0.398 -8.664
-4.309 0.744 -2.570
-12.711 1.340 -6.138
-11.335 -4.597 -4.977
-4.889 3.141 -6.198
-3.513 -2.796 -5.036
-12.131 -1.058 -2.510
-11.915 -2.200 -8.604
```

E = -8.3605 eV per atom
Calculated density = 4.91 Mg/m³
Space group = No. 128
DFT formation energy = -0.316 eV per atom

11.
Below is a relaxed structure of Y15C19, with properties calculated at the PBE level.

The structure in POSCAR format:
```
Y15C19
1.0
8.194 0.000 0.000
0.000 8.194 0.000
0.000 0.000 15.544
Y C
30 38
Cartesian
5.763 7.432 7.763
1.666 4.858 0.009
2.431 0.761 7.763
6.528 3.336 0.009
7.432 2.431 7.781
4.858 6.528 15.535
0.761 5.763 7.781
3.336 1.666 15.535
6.429 4.899 10.111
2.332 7.392 13.205
1.765 3.295 10.111
5.862 0.802 13.205
4.899 1.765 5.433
7.392 5.862 2.339
3.295 6.429 5.433
0.802 2.332 2.339
4.900 1.765 10.101
0.803 2.332 13.214
3.294 6.429 10.101
7.391 5.861 13.214
1.765 3.294 5.442
2.332 7.391 2.330
6.429 4.900 5.442
5.861 0.803 2.330
0.000 0.000 5.138
4.097 4.097 2.633
0.000 0.000 10.405
4.097 4.097 12.910
4.097 4.097 7.772
0.000 0.000 0.000
4.956 1.615 7.766
0.859 2.481 0.005
3.237 6.578 7.766
7.334 5.712 0.005
1.615 3.237 7.777
2.481 7.334 15.538
6.578 4.956 7.777
5.712 0.859 15.538
5.705 7.400 10.408
1.608 4.890 12.908
2.489 0.794 10.408
6.586 3.303 12.908
7.400 2.489 5.136
4.890 6.586 2.636
0.794 5.705 5.136
3.303 1.608 2.636
5.339 6.955 11.626
1.242 5.336 11.690
2.855 1.239 11.626
6.952 2.858 11.690
6.955 2.855 3.918
5.336 6.952 3.854
1.239 5.339 3.918
2.858 1.242 3.854
7.410 2.469 10.488
3.313 1.628 12.828
0.784 5.725 10.488
4.881 6.566 12.828
2.469 0.784 5.056
1.628 4.881 2.716
5.725 7.410 5.056
6.566 3.313 2.716
4.097 4.097 10.303
0.000 0.000 13.012
4.097 4.097 5.240
0.000 0.000 2.531
4.097 4.097 0.000
0.000 0.000 7.772
```

E = -8.3172 eV per atom
Calculated density = 4.97 Mg/m³
Space group = No. 114
DFT formation energy = -0.307 eV per atom

12.
Below is a relaxed structure of ZnC2, with properties calculated at the PBE level.

The structure in POSCAR format:
```
ZnC2
1.0
6.457 0.000 0.000
0.000 6.457 0.000
0.000 0.000 6.457
Zn C
4 8
Cartesian
1.614 1.614 1.614
4.842 4.842 1.614
4.842 1.614 4.842
1.614 4.842 4.842
0.534 0.534 0.534
5.922 5.922 0.534
5.922 0.534 5.922
3.763 3.763 2.694
2.694 2.694 2.694
0.534 5.922 5.922
3.763 2.694 3.763
2.694 3.763 3.763
```

E = -5.4467 eV per atom
Calculated density = 2.21 Mg/m³
Space group = No. 224
DFT formation energy = 1.126 eV per atom

13.
Below is a relaxed structure of Zn3C, with properties calculated at the PBE level.

The structure in POSCAR format:
```
Zn3C
1.0
3.343 -1.779 2.611
-0.257 1.548 4.324
-3.088 -1.877 -2.846
Zn C
3 1
Cartesian
0.899 -1.885 1.616
-0.901 -0.222 2.473
1.543 -0.115 3.467
0.000 0.000 0.000
```

E = -2.2060 eV per atom
Calculated density = 6.76 Mg/m³
Space group = No. 139
DFT formation energy = 1.046 eV per atom

14.
Below is a relaxed structure of Zn3C, with properties calculated at the PBE level.

The structure in POSCAR format:
```
Zn3C
1.0
-0.725 3.625 0.279
-1.095 0.054 -3.541
-3.467 -0.775 1.061
Zn C
3 1
Cartesian
-2.281 -0.360 -1.240
-2.096 1.425 0.670
-0.910 1.839 -1.631
0.000 0.000 0.000
```

E = -2.2117 eV per atom
Calculated density = 6.79 Mg/m³
Space group = No. 221
DFT formation energy = 1.040 eV per atom

15.
Below is a relaxed structure of Zr3C, with properties calculated at the PBE level.

The structure in POSCAR format:
```
Zr3C
1.0
-3.836 4.451 -0.520
2.938 -1.930 -4.737
-3.401 -3.033 -0.874
Zr C
6 2
Cartesian
-0.492 -0.654 -1.972
-0.918 0.540 -4.462
0.900 -1.569 -4.216
-3.806 0.143 -4.159
-3.381 -1.051 -1.669
-5.198 1.057 -1.915
-1.871 -2.077 -3.987
-2.428 1.566 -2.144
```

E = -7.9897 eV per atom
Calculated density = 6.78 Mg/m³
Space group = No. 194
DFT formation energy = 0.728 eV per atom

16.
Below is a relaxed structure of Ca, with properties calculated at the PBE level.

The structure in POSCAR format:
```
Ca
1.0
3.468 -3.594 0.000
3.468 3.594 0.000
0.000 0.000 6.989
Ca
4
Cartesian
3.468 2.439 1.377
3.468 -2.439 5.612
3.468 1.155 4.871
3.468 -1.155 2.118
```

E = -1.7288 eV per atom
Calculated density = 1.53 Mg/m³
Space group = No. 64
DFT formation energy = 0.277 eV per atom
Excess energy over the best structure of this formula in the dataset = 0.28 eV/f.u.

17.
Below is a relaxed structure of Ca, with properties calculated at the PBE level.

The structure in POSCAR format:
```
Ca
1.0
-3.728 3.728 3.264
3.728 -3.728 3.264
3.728 3.728 -3.264
Ca
4
Cartesian
4.994 1.266 0.000
-1.266 2.462 3.264
1.266 2.462 0.000
2.462 1.266 3.264
```

E = -1.8407 eV per atom
Calculated density = 1.47 Mg/m³
Space group = No. 140
DFT formation energy = 0.165 eV per atom
Excess energy over the best structure of this formula in the dataset = 0.16 eV/f.u.

18.
Below is a relaxed structure of Ca, with properties calculated at the PBE level.

The structure in POSCAR format:
```
Ca
1.0
3.522 0.000 0.000
0.000 3.522 0.000
0.000 0.000 3.522
Ca
1
Cartesian
0.000 0.000 0.000
```

E = -1.6060 eV per atom
Calculated density = 1.52 Mg/m³
Space group = No. 221
DFT formation energy = 0.400 eV per atom
Excess energy over the best structure of this formula in the dataset = 0.40 eV/f.u.

19.
Below is a relaxed structure of Ca, with properties calculated at the PBE level.

The structure in POSCAR format:
```
Ca
1.0
-1.948 -3.375 0.000
-1.948 3.375 0.000
0.000 0.000 -6.451
Ca
2
Cartesian
-1.948 1.125 -4.838
-1.948 -1.125 -1.613
```

E = -1.9997 eV per atom
Calculated density = 1.57 Mg/m³
Space group = No. 194
DFT formation energy = 0.006 eV per atom
Excess energy over the best structure of this formula in the dataset = 0.01 eV/f.u.

20.
Below is a relaxed structure of Ca, with properties calculated at the PBE level.

The structure in POSCAR format:
```
Ca
1.0
-0.391 3.964 2.222
1.891 -1.886 3.698
14.523 4.354 -5.209
Ca
8
Cartesian
10.897 2.110 -1.778
3.313 3.778 3.139
6.902 4.874 1.728
14.569 3.191 -2.972
13.475 3.712 0.587
4.361 3.263 -0.527
9.835 2.548 1.802
0.739 2.251 0.863
```

E = -1.9864 eV per atom
Calculated density = 1.60 Mg/m³
Space group = No. 92
DFT formation energy = 0.019 eV per atom
Excess energy over the best structure of this formula in the dataset = 0.02 eV/f.u.

21.
Below is a relaxed structure of Ca, with properties calculated at the PBE level.

The structure in POSCAR format:
```
Ca
1.0
-2.239 -2.429 1.890
-0.115 3.060 2.261
-1.165 0.692 -3.557
Ca
1
Cartesian
0.000 0.000 0.000
```

E = -1.9925 eV per atom
Calculated density = 1.59 Mg/m³
Space group = No. 139
DFT formation energy = 0.013 eV per atom
Excess energy over the best structure of this formula in the dataset = 0.01 eV/f.u.